## Al (r²SCAN)

Data for a relaxed structure of Al.

Cell and atoms, written as extended XYZ:
```
2
Lattice="3.182 0.000 0.000 0.000 3.182 0.000 0.000 0.000 3.182" Properties=species:S:1:pos:R:3 pbc="T T T"
Al 0.000 0.000 0.000
Al 1.591 1.591 1.591
```

Output
- symmetry = Im-3m, No. 229
- calculated formation energy (kJ/mol of formula units) = 10

## LuRu2 (r²SCAN)

Data for a relaxed structure of LuRu2.

Cell and atoms, written as extended XYZ:
```
12
Lattice="5.172 0.000 0.000 -2.586 4.479 0.000 0.000 0.000 8.800" Properties=species:S:1:pos:R:3 pbc="T T T"
Lu 0.000 2.986 0.592
Lu 0.000 2.986 3.808
Lu 2.586 1.493 4.992
Lu 2.586 1.493 8.208
Ru 0.000 0.000 0.000
Ru 0.000 0.000 4.400
Ru 0.000 1.536 6.600
Ru -1.255 3.711 6.600
Ru 1.331 0.768 2.200
Ru 1.255 3.711 6.600
Ru 3.841 0.768 2.200
Ru 2.586 2.942 2.200
```

Output
- symmetry = P6_3/mmc, No. 194
- calculated formation energy (kJ/mol of formula units) = -125

Number 1: spin magnetization 0.00 μB per formula unit, total DFT energy (no corrections) -13.26 eV/cell. Number 2: spin magnetization 0.00 μB per formula unit, total DFT energy (no corrections) -360.91 eV/cell.